A geometry-optimized Lu2Ga3Cu structure. Source: the Materials Project database, functional PBE.

Summary:
- Calculated formation energy: -0.572 eV/atom

Geometry as CIF:
```
data_Lu2Ga3Cu
_cell_length_a 4.3320
_cell_length_b 4.3320
_cell_length_c 7.0074
_cell_angle_alpha 90.00
_cell_angle_beta 90.00
_cell_angle_gamma 120.00
_symmetry_space_group_name_H-M 'P 3 m 1'
_symmetry_Int_Tables_number 156
_symmetry_space_group_name_Hall 'P 3 -2"'
loop_
_atom_site_label
_atom_site_type_symbol
_atom_site_fract_x
_atom_site_fract_y
_atom_site_fract_z
Lu1 Lu 0.0000 0.0000 0.0000
Lu2 Lu 0.0000 0.0000 0.4694
Ga1 Ga 0.3333 0.6667 0.2140
Ga2 Ga 0.3333 0.6667 0.7865
Ga3 Ga 0.6667 0.3333 0.6874
Cu1 Cu 0.6667 0.3333 0.2772
```